Below is a relaxed structure of CrB4, with properties calculated at the GGA-PBE level.

Geometry as extended XYZ:
```
5
Lattice="-1.426 2.375 2.744 1.426 -2.375 2.744 1.426 2.375 -2.744" Properties=species:S:1:pos:R:3 pbc="T T T"
B 0.000 0.927 1.878
Cr 0.000 0.000 0.000
B 0.000 0.927 3.610
B 1.426 1.447 0.866
B 1.426 1.447 -0.866
```

Summary:
As for the total energy: -7.5772 eV per atom. The value obtained for the mass density is 4.3 g cm⁻³. The distance to the lowest polymorph of the same formula comes out at 6 meV/atom. The calculation puts the formation energy at -29 kJ per mole of atoms.